Ba6Sr2CoCu7O20: relaxed, PBE+U.

a b c (Å): 11.4229 11.4501 18.0618
angles (deg): 108.45 108.42 90.06
Fractional positions:
Ba (0.0000, 0.0000, 0.0000)
Ba (0.0000, 0.0005, 0.4968)
Ba (0.9997, 0.4933, 0.4983)
Ba (0.1301, 0.1262, 0.7634)
Ba (0.1326, 0.6311, 0.2613)
Ba (0.1328, 0.6369, 0.7668)
Ba (0.2406, 0.2581, 0.4981)
Ba (0.2405, 0.7542, 0.4968)
Ba (0.2464, 0.7536, 0.9979)
Ba (0.3777, 0.3857, 0.2596)
Ba (0.3785, 0.8804, 0.2608)
Ba (0.3822, 0.8905, 0.7636)
Ba (0.3904, 0.3870, 0.7653)
Ba (0.4906, 0.9986, 0.4990)
Ba (0.4979, 0.4931, 0.4967)
Ba (0.4979, 0.4943, 0.9953)
Ba (0.6220, 0.6324, 0.2598)
Ba (0.6293, 0.1281, 0.2592)
Ba (0.6320, 0.6299, 0.7633)
Ba (0.7484, 0.7494, 0.4963)
Ba (0.7568, 0.2603, 0.4984)
Ba (0.8741, 0.3870, 0.7631)
Ba (0.8742, 0.8856, 0.2577)
Ba (0.8801, 0.8934, 0.7647)
Sr (0.1358, 0.1418, 0.2710)
Sr (0.2441, 0.2429, 0.9863)
Sr (0.4953, 0.0001, 0.9894)
Sr (0.6377, 0.1361, 0.7712)
Sr (0.7456, 0.2500, 0.9909)
Sr (0.7468, 0.7420, 0.9881)
Sr (0.8873, 0.3816, 0.2686)
Sr (0.9940, 0.4964, 0.9864)
Co (0.1814, 0.9406, 0.3726)
Co (0.4414, 0.6936, 0.3910)
Co (0.6863, 0.4380, 0.3708)
Co (0.6982, 0.9553, 0.3875)
Cu (0.0541, 0.3401, 0.1287)
Cu (0.0567, 0.8322, 0.6216)
Cu (0.0584, 0.8419, 0.1328)
Cu (0.0734, 0.3454, 0.6462)
Cu (0.1845, 0.4374, 0.3746)
Cu (0.1902, 0.4410, 0.8808)
Cu (0.1938, 0.9469, 0.8878)
Cu (0.2962, 0.5278, 0.1123)
Cu (0.3130, 0.0545, 0.1391)
Cu (0.3137, 0.0492, 0.6301)
Cu (0.3174, 0.5496, 0.6318)
Cu (0.4352, 0.1911, 0.3780)
Cu (0.4449, 0.6978, 0.8863)
Cu (0.4456, 0.1925, 0.8851)
Cu (0.5574, 0.8402, 0.1202)
Cu (0.5584, 0.3252, 0.6177)
Cu (0.5602, 0.3354, 0.1285)
Cu (0.5618, 0.8370, 0.6292)
Cu (0.6943, 0.9480, 0.8885)
Cu (0.6984, 0.4469, 0.8919)
Cu (0.8071, 0.0462, 0.6244)
Cu (0.8078, 0.0433, 0.1204)
Cu (0.8143, 0.5493, 0.6305)
Cu (0.8148, 0.5395, 0.1362)
Cu (0.9352, 0.1888, 0.3696)
Cu (0.9367, 0.6839, 0.3749)
Cu (0.9399, 0.6957, 0.8831)
Cu (0.9446, 0.1979, 0.8910)
O (0.0011, 0.7383, 0.5079)
O (0.0097, 0.2453, 0.0188)
O (0.0163, 0.7375, 0.0259)
O (0.0190, 0.2445, 0.5400)
O (0.0553, 0.0703, 0.3699)
O (0.0554, 0.5702, 0.8793)
O (0.0589, 0.3128, 0.3766)
O (0.0609, 0.5563, 0.3711)
O (0.0634, 0.3161, 0.8874)
O (0.0673, 0.0683, 0.8814)
O (0.0693, 0.8237, 0.8874)
O (0.0696, 0.8311, 0.3806)
O (0.1142, 0.8490, 0.7308)
O (0.1176, 0.8585, 0.2441)
O (0.1238, 0.3511, 0.2398)
O (0.1298, 0.3653, 0.7577)
O (0.1513, 0.4655, 0.1191)
O (0.1743, 0.9704, 0.1418)
O (0.1825, 0.9470, 0.6280)
O (0.1920, 0.4438, 0.6328)
O (0.2503, 0.5145, 0.0020)
O (0.2568, 0.0361, 0.5201)
O (0.2583, 0.5319, 0.5205)
O (0.2673, 0.0487, 0.0318)
O (0.2966, 0.0533, 0.3739)
O (0.3090, 0.3184, 0.3803)
O (0.3132, 0.8141, 0.3829)
O (0.3146, 0.0666, 0.8830)
O (0.3176, 0.5710, 0.8790)
O (0.3186, 0.8294, 0.8900)
O (0.3218, 0.3096, 0.8848)
O (0.3222, 0.5748, 0.3765)
O (0.3589, 0.6312, 0.2182)
O (0.3755, 0.6446, 0.7425)
O (0.3756, 0.1432, 0.2533)
O (0.3793, 0.1383, 0.7407)
O (0.4081, 0.4025, 0.1160)
O (0.4261, 0.9349, 0.1300)
O (0.4277, 0.9306, 0.6243)
O (0.4405, 0.4396, 0.6287)
O (0.5023, 0.2390, 0.5036)
O (0.5128, 0.7387, 0.5185)
O (0.5139, 0.7407, 0.0118)
O (0.5218, 0.2365, 0.0197)
O (0.5470, 0.8026, 0.3838)
O (0.5581, 0.5626, 0.3728)
O (0.5654, 0.0676, 0.8779)
O (0.5691, 0.0498, 0.3742)
O (0.5719, 0.8251, 0.8910)
O (0.5735, 0.5630, 0.8808)
O (0.5767, 0.3188, 0.8867)
O (0.5796, 0.3281, 0.3807)
O (0.6112, 0.3223, 0.7219)
O (0.6163, 0.8468, 0.2276)
O (0.6183, 0.8513, 0.7383)
O (0.6254, 0.3557, 0.2409)
O (0.6643, 0.9660, 0.1193)
O (0.6680, 0.4628, 0.1301)
O (0.6785, 0.9617, 0.6367)
O (0.6893, 0.4383, 0.6286)
O (0.7540, 0.0276, 0.5126)
O (0.7572, 0.0394, 0.0131)
O (0.7618, 0.5290, 0.5195)
O (0.7776, 0.5364, 0.0293)
O (0.7960, 0.8281, 0.3794)
O (0.8021, 0.5524, 0.3722)
O (0.8107, 0.0737, 0.8781)
O (0.8132, 0.5667, 0.8818)
O (0.8143, 0.0692, 0.3736)
O (0.8164, 0.8196, 0.8889)
O (0.8167, 0.3218, 0.8877)
O (0.8220, 0.3137, 0.3796)
O (0.8662, 0.6452, 0.7395)
O (0.8679, 0.1425, 0.7322)
O (0.8748, 0.6386, 0.2480)
O (0.8760, 0.1420, 0.2277)
O (0.9042, 0.3968, 0.1326)
O (0.9077, 0.9095, 0.1150)
O (0.9284, 0.9336, 0.6255)
O (0.9423, 0.4451, 0.6334)

Values from the calculation:
space group: P1, No. 1
formation enthalpy at 0 K: -180.1 kJ/mol of atoms

=====

RbPrW2O8: relaxed, PBE+U.

a b c (Å): 6.2328 6.2328 8.6595
angles (deg): 90.00 90.00 120.00
Fractional positions:
Rb (0.0000, 0.0000, 0.0000)
Pr (0.0000, 0.0000, 0.5000)
W (0.3333, 0.6667, 0.2624)
W (0.6667, 0.3333, 0.7376)
O (0.1725, 0.3449, 0.3291)
O (0.1725, 0.8275, 0.3291)
O (0.3333, 0.6667, 0.0579)
O (0.3449, 0.1725, 0.6709)
O (0.6551, 0.8275, 0.3291)
O (0.6667, 0.3333, 0.9421)
O (0.8275, 0.1725, 0.6709)
O (0.8275, 0.6551, 0.6709)

Values from the calculation:
space group: P-3m1, No. 164
ΔE to the lowest computed polymorph: 28.4 meV/atom
formation enthalpy at 0 K: -248.6 kJ/mol of atoms

=====

V6H36C12O19: relaxed, PBE+U.

a b c (Å): 21.6939 10.5145 14.0401
angles (deg): 90.00 90.00 90.00
Fractional positions:
V (0.0241, 0.2398, 0.1271)
V (0.0847, 0.2443, 0.9097)
V (0.1013, 0.9886, 0.0469)
V (0.1438, 0.4196, 0.0802)
V (0.1614, 0.1703, 0.2168)
V (0.2215, 0.1745, 0.0000)
V (0.2785, 0.6745, 0.5000)
V (0.3386, 0.6703, 0.7168)
V (0.3562, 0.9196, 0.5802)
V (0.3987, 0.4886, 0.5469)
V (0.4153, 0.7443, 0.4097)
V (0.4759, 0.7398, 0.6271)
V (0.5241, 0.2602, 0.1271)
V (0.5847, 0.2557, 0.9097)
V (0.6013, 0.5114, 0.0469)
V (0.6438, 0.0804, 0.0802)
V (0.6614, 0.3297, 0.2168)
V (0.7215, 0.3255, 0.0000)
V (0.7785, 0.8255, 0.5000)
V (0.8386, 0.8297, 0.7168)
V (0.8562, 0.5804, 0.5802)
V (0.8987, 0.0114, 0.5469)
V (0.9153, 0.7557, 0.4097)
V (0.9759, 0.7602, 0.6271)
H (0.0101, 0.5747, 0.0771)
H (0.0113, 0.2469, 0.3571)
H (0.0183, 0.4935, 0.6857)
H (0.0316, 0.1122, 0.5741)
H (0.0396, 0.9906, 0.4852)
H (0.0416, 0.5641, 0.4713)
H (0.0493, 0.6766, 0.3766)
H (0.0504, 0.6020, 0.1861)
H (0.0527, 0.0026, 0.7841)
H (0.0595, 0.9238, 0.2614)
H (0.0613, 0.3750, 0.3243)
H (0.0726, 0.9679, 0.6015)
H (0.0789, 0.6091, 0.9312)
H (0.0790, 0.8723, 0.8561)
H (0.0855, 0.5121, 0.8260)
H (0.0879, 0.7022, 0.4882)
H (0.0913, 0.2429, 0.3902)
H (0.1124, 0.8064, 0.2183)
H (0.1334, 0.9854, 0.8109)
H (0.1357, 0.9135, 0.3118)
H (0.1533, 0.5734, 0.8834)
H (0.1704, 0.5900, 0.6583)
H (0.1736, 0.2630, 0.7363)
H (0.1759, 0.5412, 0.2686)
H (0.1803, 0.7570, 0.6478)
H (0.1828, 0.4081, 0.3473)
H (0.1838, 0.8881, 0.5018)
H (0.2039, 0.6783, 0.7549)
H (0.2044, 0.7976, 0.0102)
H (0.2090, 0.3767, 0.8140)
H (0.2142, 0.9797, 0.5990)
H (0.2293, 0.0267, 0.4783)
H (0.2297, 0.3989, 0.4908)
H (0.2354, 0.8892, 0.1066)
H (0.2463, 0.4529, 0.2732)
H (0.2483, 0.2317, 0.7875)
H (0.2517, 0.7317, 0.2875)
H (0.2537, 0.9529, 0.7732)
H (0.2646, 0.3892, 0.6066)
H (0.2703, 0.8989, 0.9908)
H (0.2707, 0.5267, 0.9783)
H (0.2858, 0.4797, 0.0990)
H (0.2910, 0.8767, 0.3140)
H (0.2961, 0.1783, 0.2549)
H (0.2956, 0.2976, 0.5102)
H (0.3162, 0.3881, 0.0018)
H (0.3172, 0.9081, 0.8473)
H (0.3197, 0.2570, 0.1478)
H (0.3241, 0.0412, 0.7686)
H (0.3264, 0.7630, 0.2363)
H (0.3296, 0.0900, 0.1583)
H (0.3467, 0.0734, 0.3834)
H (0.3643, 0.4135, 0.8118)
H (0.3666, 0.4854, 0.3109)
H (0.3876, 0.3064, 0.7183)
H (0.4087, 0.7429, 0.8902)
H (0.4121, 0.2022, 0.9882)
H (0.4145, 0.0121, 0.3260)
H (0.4211, 0.1091, 0.4312)
H (0.4210, 0.3723, 0.3561)
H (0.4274, 0.4679, 0.1015)
H (0.4387, 0.8750, 0.8243)
H (0.4405, 0.4238, 0.7614)
H (0.4473, 0.5026, 0.2841)
H (0.4496, 0.1020, 0.6861)
H (0.4507, 0.1766, 0.8766)
H (0.4584, 0.0641, 0.9713)
H (0.4604, 0.4906, 0.9852)
H (0.4684, 0.6122, 0.0741)
H (0.4817, 0.9935, 0.1857)
H (0.4887, 0.7469, 0.8571)
H (0.4899, 0.0747, 0.5771)
H (0.5101, 0.9253, 0.0771)
H (0.5113, 0.2531, 0.3571)
H (0.5183, 0.0065, 0.6857)
H (0.5316, 0.3878, 0.5741)
H (0.5396, 0.5094, 0.4852)
H (0.5416, 0.9359, 0.4713)
H (0.5493, 0.8234, 0.3766)
H (0.5504, 0.8980, 0.1861)
H (0.5527, 0.4974, 0.7841)
H (0.5595, 0.5762, 0.2614)
H (0.5613, 0.1250, 0.3243)
H (0.5726, 0.5321, 0.6015)
H (0.5790, 0.6277, 0.8561)
H (0.5789, 0.8909, 0.9312)
H (0.5855, 0.9879, 0.8260)
H (0.5879, 0.7978, 0.4882)
H (0.5913, 0.2571, 0.3902)
H (0.6124, 0.6936, 0.2183)
H (0.6334, 0.5146, 0.8109)
H (0.6357, 0.5865, 0.3118)
H (0.6533, 0.9266, 0.8834)
H (0.6704, 0.9100, 0.6583)
H (0.6736, 0.2370, 0.7363)
H (0.6759, 0.9588, 0.2686)
H (0.6803, 0.7430, 0.6478)
H (0.6828, 0.0919, 0.3473)
H (0.6838, 0.6119, 0.5018)
H (0.7044, 0.7024, 0.0102)
H (0.7039, 0.8217, 0.7549)
H (0.7090, 0.1233, 0.8140)
H (0.7142, 0.5203, 0.5990)
H (0.7293, 0.4733, 0.4783)
H (0.7297, 0.1011, 0.4908)
H (0.7354, 0.6108, 0.1066)
H (0.7463, 0.0471, 0.2732)
H (0.7483, 0.2683, 0.7875)
H (0.7517, 0.7683, 0.2875)
H (0.7537, 0.5471, 0.7732)
H (0.7646, 0.1108, 0.6066)
H (0.7703, 0.6011, 0.9908)
H (0.7707, 0.9733, 0.9783)
H (0.7858, 0.0203, 0.0990)
H (0.7910, 0.6233, 0.3140)
H (0.7956, 0.2024, 0.5102)
H (0.7961, 0.3217, 0.2549)
H (0.8162, 0.1119, 0.0018)
H (0.8172, 0.5919, 0.8473)
H (0.8197, 0.2430, 0.1478)
H (0.8241, 0.4588, 0.7686)
H (0.8264, 0.7370, 0.2363)
H (0.8296, 0.4100, 0.1583)
H (0.8467, 0.4266, 0.3834)
H (0.8643, 0.0865, 0.8118)
H (0.8666, 0.0146, 0.3109)
H (0.8876, 0.1936, 0.7183)
H (0.9087, 0.7571, 0.8902)
H (0.9121, 0.2978, 0.9882)
H (0.9145, 0.4879, 0.3260)
H (0.9210, 0.1277, 0.3561)
H (0.9211, 0.3909, 0.4312)
H (0.9274, 0.0321, 0.1015)
H (0.9387, 0.6250, 0.8243)
H (0.9405, 0.0762, 0.7614)
H (0.9473, 0.9974, 0.2841)
H (0.9496, 0.3980, 0.6861)
H (0.9507, 0.3234, 0.8766)
H (0.9584, 0.4359, 0.9713)
H (0.9604, 0.0094, 0.9852)
H (0.9684, 0.8878, 0.0741)
H (0.9817, 0.5065, 0.1857)
H (0.9887, 0.7531, 0.8571)
H (0.9899, 0.4253, 0.5771)
C (0.0234, 0.5320, 0.1457)
C (0.0337, 0.0091, 0.5619)
C (0.0457, 0.6662, 0.4543)
C (0.0584, 0.2711, 0.3343)
C (0.0862, 0.9727, 0.8384)
C (0.1065, 0.5361, 0.8948)
C (0.1084, 0.9036, 0.2463)
C (0.1957, 0.4461, 0.2773)
C (0.2010, 0.6698, 0.6770)
C (0.2027, 0.2742, 0.8001)
C (0.2232, 0.9451, 0.5264)
C (0.2266, 0.8880, 0.0293)
C (0.2734, 0.3880, 0.5293)
C (0.2768, 0.4451, 0.0264)
C (0.2973, 0.7742, 0.3001)
C (0.2990, 0.1698, 0.1770)
C (0.3043, 0.9461, 0.7773)
C (0.3916, 0.4036, 0.7463)
C (0.3935, 0.0361, 0.3948)
C (0.4138, 0.4727, 0.3384)
C (0.4416, 0.7711, 0.8343)
C (0.4543, 0.1662, 0.9543)
C (0.4663, 0.5091, 0.0619)
C (0.4766, 0.0320, 0.6457)
C (0.5234, 0.9680, 0.1457)
C (0.5337, 0.4909, 0.5619)
C (0.5457, 0.8338, 0.4543)
C (0.5584, 0.2289, 0.3343)
C (0.5862, 0.5273, 0.8384)
C (0.6065, 0.9639, 0.8948)
C (0.6083, 0.5964, 0.2463)
C (0.6957, 0.0539, 0.2773)
C (0.7010, 0.8302, 0.6770)
C (0.7027, 0.2258, 0.8001)
C (0.7232, 0.5549, 0.5264)
C (0.7266, 0.6120, 0.0293)
C (0.7734, 0.1120, 0.5293)
C (0.7768, 0.0549, 0.0264)
C (0.7973, 0.7258, 0.3001)
C (0.7990, 0.3302, 0.1770)
C (0.8043, 0.5539, 0.7773)
C (0.8916, 0.0964, 0.7463)
C (0.8935, 0.4639, 0.3948)
C (0.9138, 0.0273, 0.3384)
C (0.9416, 0.7289, 0.8343)
C (0.9543, 0.3338, 0.9543)
C (0.9663, 0.9909, 0.0619)
C (0.9766, 0.4680, 0.6457)
O (0.0061, 0.2623, 0.9872)
O (0.0224, 0.0469, 0.0962)
O (0.0442, 0.7415, 0.6744)
O (0.0557, 0.2664, 0.8033)
O (0.0598, 0.4199, 0.1316)
O (0.0724, 0.2030, 0.2490)
O (0.0771, 0.0488, 0.9220)
O (0.0855, 0.8392, 0.0346)
O (0.1089, 0.4239, 0.9526)
O (0.1234, 0.2122, 0.0641)
O (0.1322, 0.9901, 0.1763)
O (0.1587, 0.5699, 0.0928)
O (0.1732, 0.3637, 0.2041)
O (0.1738, 0.2098, 0.8779)
O (0.1864, 0.9907, 0.0029)
O (0.1897, 0.1404, 0.3228)
O (0.2105, 0.6495, 0.4524)
O (0.2225, 0.3674, 0.0244)
O (0.2390, 0.1461, 0.1391)
O (0.2610, 0.6461, 0.6391)
O (0.2775, 0.8674, 0.5244)
O (0.2895, 0.1495, 0.9524)
O (0.3103, 0.6404, 0.8228)
O (0.3136, 0.4907, 0.5029)
O (0.3262, 0.7098, 0.3779)
O (0.3268, 0.8637, 0.7041)
O (0.3413, 0.0699, 0.5928)
O (0.3678, 0.4901, 0.6763)
O (0.3766, 0.7122, 0.5641)
O (0.3911, 0.9239, 0.4526)
O (0.4145, 0.3392, 0.5346)
O (0.4229, 0.5488, 0.4220)
O (0.4276, 0.7030, 0.7490)
O (0.4402, 0.9199, 0.6316)
O (0.4443, 0.7664, 0.3033)
O (0.4558, 0.2415, 0.1744)
O (0.4776, 0.5469, 0.5962)
O (0.4939, 0.7623, 0.4872)
O (0.5061, 0.2377, 0.9872)
O (0.5224, 0.4531, 0.0962)
O (0.5442, 0.7585, 0.6744)
O (0.5557, 0.2336, 0.8033)
O (0.5598, 0.0801, 0.1316)
O (0.5724, 0.2970, 0.2490)
O (0.5771, 0.4512, 0.9220)
O (0.5855, 0.6608, 0.0346)
O (0.6089, 0.0761, 0.9526)
O (0.6234, 0.2878, 0.0641)
O (0.6322, 0.5099, 0.1763)
O (0.6587, 0.9301, 0.0928)
O (0.6732, 0.1363, 0.2041)
O (0.6738, 0.2902, 0.8779)
O (0.6864, 0.5093, 0.0029)
O (0.6897, 0.3596, 0.3228)
O (0.7105, 0.8505, 0.4524)
O (0.7225, 0.1326, 0.0244)
O (0.7390, 0.3539, 0.1391)
O (0.7610, 0.8539, 0.6391)
O (0.7775, 0.6327, 0.5244)
O (0.7895, 0.3505, 0.9524)
O (0.8103, 0.8596, 0.8228)
O (0.8136, 0.0093, 0.5029)
O (0.8262, 0.7902, 0.3779)
O (0.8268, 0.6363, 0.7041)
O (0.8413, 0.4301, 0.5928)
O (0.8678, 0.0099, 0.6763)
O (0.8766, 0.7878, 0.5641)
O (0.8911, 0.5761, 0.4526)
O (0.9145, 0.1608, 0.5346)
O (0.9229, 0.9512, 0.4220)
O (0.9276, 0.7970, 0.7490)
O (0.9402, 0.5801, 0.6316)
O (0.9443, 0.7336, 0.3033)
O (0.9558, 0.2585, 0.1744)
O (0.9776, 0.9531, 0.5962)
O (0.9939, 0.7377, 0.4872)

Values from the calculation:
space group: Pna2_1, No. 33
formation enthalpy at 0 K: -85.2 kJ/mol of atoms

=====

Record-wise total energy values, in eV per atom: -5.597; -7.317; -5.790